A geometry-optimized Sb9Se4F39 structure. Source: the Materials Project database, functional PBE.

The structure in CIF format:
```
data_Sb9Se4F39
_chemical_formula_sum 'Sb36 Se16 F156'
_space_group_name_H-M_alt 'P 1 21/c 1'
_space_group_IT_number 14
_cell_length_a 15.9822
_cell_length_b 13.7392
_cell_length_c 17.4437
_cell_angle_alpha 90.00
_cell_angle_beta 92.15
_cell_angle_gamma 90.00
loop_
_space_group_symop_operation_xyz
'x,y,z'
'-x,-y,-z'
'-x,y+1/2,-z+1/2'
'x,-y+1/2,z+1/2'
loop_
_atom_site_label
_atom_site_fract_x
_atom_site_fract_y
_atom_site_fract_z
Sb1 0.0308 0.0484 0.4109
Sb2 0.0312 0.2253 0.7315
Sb3 0.1972 0.6238 0.2125
Sb4 0.2352 0.7129 0.9525
Sb5 0.2417 0.5219 0.6907
Sb6 0.2671 0.2094 0.4394
Sb7 0.3120 0.1476 0.7064
Sb8 0.4650 0.5622 0.9159
Sb9 0.4673 0.6865 0.2555
Se1 0.0121 0.6136 0.5265
Se2 0.0695 0.5155 0.4344
Se3 0.4030 0.0322 0.0107
Se4 0.4857 0.5955 0.5549
F1 0.0086 0.6714 0.0506
F2 0.0108 0.6203 0.8309
F3 0.0284 0.1431 0.8206
F4 0.0325 0.1912 0.1445
F5 0.0671 0.0212 0.5306
F6 0.0676 0.1701 0.2980
F7 0.0839 0.7340 0.2517
F8 0.0901 0.5642 0.1671
F9 0.1403 0.7016 0.4627
F10 0.1436 0.1833 0.7151
F11 0.1482 0.0008 0.2530
F12 0.1628 0.6069 0.9257
F13 0.1712 0.1218 0.4324
F14 0.1722 0.5097 0.5988
F15 0.1762 0.5559 0.3067
F16 0.1932 0.1844 0.9575
F17 0.2204 0.6598 0.6897
F18 0.2304 0.6740 0.0584
F19 0.2409 0.7493 0.8471
F20 0.2513 0.0093 0.6773
F21 0.2570 0.2346 0.3313
F22 0.2683 0.1139 0.1827
F23 0.2766 0.1841 0.5480
F24 0.3101 0.6844 0.4811
F25 0.3152 0.5340 0.7790
F26 0.3312 0.6266 0.9411
F27 0.3363 0.5500 0.6262
F28 0.3399 0.1027 0.4205
F29 0.3465 0.0833 0.8001
F30 0.3549 0.6341 0.2538
F31 0.3620 0.2036 0.9481
F32 0.4108 0.0910 0.6556
F33 0.4185 0.2409 0.2433
F34 0.4322 0.6988 0.8087
F35 0.4345 0.5179 0.0301
F36 0.4438 0.7498 0.1601
F37 0.4920 0.0758 0.2977
F38 0.4927 0.6252 0.3512
F39 0.4944 0.1781 0.5339
```

=====

A geometry-optimized Sb2TeSe2F10 structure. Source: the Materials Project database, functional PBE.

The structure in CIF format:
```
data_Sb2TeSe2F10
_chemical_formula_sum 'Sb32 Te16 Se32 F160'
_space_group_name_H-M_alt 'P b c a'
_space_group_IT_number 61
_cell_length_a 15.6095
_cell_length_b 17.5904
_cell_length_c 17.6949
_cell_angle_alpha 90.00
_cell_angle_beta 90.00
_cell_angle_gamma 90.00
loop_
_space_group_symop_operation_xyz
'x,y,z'
'-x,-y,-z'
'-x+1/2,-y,z+1/2'
'x+1/2,y,-z+1/2'
'x+1/2,-y+1/2,-z'
'-x+1/2,y+1/2,z'
'-x,y+1/2,-z+1/2'
'x,-y+1/2,z+1/2'
loop_
_atom_site_label
_atom_site_fract_x
_atom_site_fract_y
_atom_site_fract_z
Sb1 0.0000 0.0000 0.0000
Sb2 0.0000 0.0000 0.5000
Sb3 0.2280 0.0316 0.2033
Sb4 0.2375 0.2255 0.4689
Sb5 0.2432 0.5498 0.9166
Te1 0.0054 0.1222 0.7543
Te2 0.0073 0.2261 0.6283
Se1 0.0014 0.6765 0.1861
Se2 0.0663 0.6615 0.3039
Se3 0.0735 0.7131 0.6531
Se4 0.1317 0.2047 0.7190
F1 0.0385 0.5422 0.5944
F2 0.0472 0.0968 0.0264
F3 0.0542 0.0712 0.5676
F4 0.0691 0.0368 0.4177
F5 0.0877 0.5740 0.0206
F6 0.1072 0.5280 0.4523
F7 0.1085 0.0504 0.2184
F8 0.1151 0.2311 0.4752
F9 0.1388 0.7280 0.4635
F10 0.1514 0.5122 0.2063
F11 0.1565 0.6078 0.8627
F12 0.1669 0.0948 0.8552
F13 0.2042 0.5751 0.7052
F14 0.2240 0.0344 0.0959
F15 0.2326 0.2379 0.3621
F16 0.2349 0.0289 0.3179
F17 0.2360 0.1175 0.4615
F18 0.2412 0.1617 0.9802
F19 0.2447 0.2219 0.5765
F20 0.2491 0.1383 0.2097
```

=====

Calculated volume (Å³ per atom), listed in the same order as above: 18.40; 20.24
Calculated VASP energy (eV/atom), listed in the same order as above: -4.545; -4.371